<w>
This record from the Materials Project database describes a geometry-optimized Fe7Ge4 structure. The functional is PBE.

abc: 4.061 4.061 9.952
angles: 90.00 90.00 120.00
Element x y z (fractional)
1 Ge 0.667 0.333 0.753
2 Fe 0.667 0.333 0.500
3 Fe 0.000 0.000 0.876
4 Ge 0.333 0.667 0.000
5 Fe 0.000 0.000 0.624
6 Fe 0.000 0.000 0.124
7 Fe 0.000 0.000 0.376
8 Ge 0.667 0.333 0.247
9 Ge 0.333 0.667 0.500
10 Fe 0.333 0.667 0.240
11 Fe 0.333 0.667 0.760

Output
- SG = P-6m2, No. 187


<x>
This record from the Materials Project database describes a geometry-optimized Fe7Ge4 structure. The functional is PBE.

abc: 8.063 8.063 4.967
angles: 90.00 90.00 120.00
Element x y z (fractional)
1 Ge 0.667 0.333 0.750
2 Ge 0.810 0.190 0.250
3 Fe 0.000 0.000 0.000
4 Ge 0.333 0.667 0.250
5 Fe 0.841 0.159 0.750
6 Ge 0.380 0.190 0.250
7 Fe 0.841 0.681 0.750
8 Fe 0.500 0.500 0.500
9 Fe 0.000 0.500 0.000
10 Ge 0.190 0.380 0.750
11 Fe 0.500 0.000 0.000
12 Ge 0.810 0.620 0.250
13 Ge 0.620 0.810 0.750
14 Fe 0.681 0.841 0.250
15 Fe 0.159 0.319 0.250
16 Fe 0.319 0.159 0.750
17 Fe 0.500 0.500 0.000
18 Fe 0.000 0.500 0.500
19 Fe 0.500 0.000 0.500
20 Fe 0.000 0.000 0.500
21 Fe 0.159 0.841 0.250
22 Ge 0.190 0.810 0.750

Output
- SG = P6_3/mmc, No. 194


Ranked by calculated energy, most stable first: <x>, <w>.


<w>
This record from the Materials Project database describes a geometry-optimized FeGeN2 structure. The functional is PBE.

abc: 5.254 10.654 13.017
angles: 90.00 90.00 90.00
Element x y z (fractional)
1 N 0.285 0.969 0.427
2 N 0.721 0.010 0.806
3 Ge 0.617 0.453 0.685
4 N 0.279 0.510 0.694
5 Ge 0.212 0.794 0.440
6 Ge 0.788 0.294 0.060
7 Fe 0.855 0.454 0.445
8 N 0.641 0.278 0.679
9 Ge 0.383 0.547 0.315
10 Ge 0.212 0.706 0.940
11 Fe 0.219 0.802 0.194
12 Fe 0.355 0.046 0.555
13 N 0.852 0.705 0.949
14 Fe 0.719 0.698 0.806
15 Fe 0.719 0.802 0.306
16 Ge 0.788 0.206 0.560
17 Fe 0.145 0.954 0.055
18 Fe 0.645 0.954 0.445
19 Fe 0.855 0.046 0.945
20 Fe 0.219 0.698 0.694
21 Fe 0.781 0.302 0.306
22 Ge 0.383 0.953 0.815
23 N 0.779 0.990 0.306
24 Fe 0.281 0.302 0.194
25 Fe 0.145 0.546 0.555
26 N 0.352 0.795 0.051
27 Ge 0.712 0.706 0.560
28 N 0.359 0.722 0.321
29 N 0.721 0.490 0.306
30 N 0.141 0.222 0.321
31 N 0.648 0.295 0.449
32 N 0.279 0.990 0.194
33 N 0.148 0.205 0.551
34 N 0.859 0.778 0.679
35 N 0.359 0.778 0.821
36 Ge 0.117 0.047 0.315
37 Ge 0.712 0.794 0.060
38 N 0.715 0.469 0.073
39 Fe 0.645 0.546 0.945
40 N 0.141 0.278 0.821
41 N 0.715 0.031 0.573
42 Ge 0.288 0.206 0.940
43 N 0.352 0.705 0.551
44 N 0.779 0.510 0.806
45 Ge 0.288 0.294 0.440
46 Ge 0.883 0.953 0.685
47 Ge 0.883 0.547 0.185
48 N 0.859 0.722 0.179
49 N 0.221 0.010 0.694
50 N 0.215 0.031 0.927
51 Ge 0.617 0.047 0.185
52 N 0.215 0.469 0.427
53 N 0.852 0.795 0.449
54 N 0.221 0.490 0.194
55 N 0.641 0.222 0.179
56 Fe 0.281 0.198 0.694
57 N 0.785 0.969 0.073
58 N 0.785 0.531 0.573
59 N 0.285 0.531 0.927
60 Fe 0.355 0.454 0.055
61 N 0.148 0.295 0.051
62 Ge 0.117 0.453 0.815
63 N 0.648 0.205 0.949
64 Fe 0.781 0.198 0.806

Output
- spin magnetization (μB per atom) = 0.608
- SG = Pbca, No. 61


<x>
This record from the Materials Project database describes a geometry-optimized FeGeN2 structure. The functional is PBE.

abc: 5.612 6.433 5.458
angles: 90.00 90.05 90.00
Element x y z (fractional)
1 Ge 0.839 0.638 0.412
2 Fe 0.344 0.864 0.588
3 N 0.712 0.643 0.097
4 Fe 0.656 0.136 0.412
5 N 0.183 0.621 0.421
6 Fe 0.344 0.636 0.088
7 Ge 0.161 0.362 0.588
8 N 0.817 0.379 0.579
9 Ge 0.161 0.138 0.088
10 Fe 0.656 0.364 0.912
11 N 0.712 0.857 0.597
12 N 0.288 0.143 0.403
13 N 0.288 0.357 0.903
14 N 0.817 0.121 0.079
15 N 0.183 0.879 0.921
16 Ge 0.839 0.862 0.912

Output
- spin magnetization (μB per atom) = 1.000
- SG = P2_1/c, No. 14


Ranked by calculated energy, most stable first: <x>, <w>.


<w>
This record from the Materials Project database describes a geometry-optimized TiFeH2 structure. The functional is PBE.

abc: 5.240 5.240 2.644
angles: 90.00 90.00 96.50
Element x y z (fractional)
1 H 0.500 0.000 0.000
2 Ti 0.718 0.718 0.000
3 Fe 0.766 0.234 0.000
4 H 0.500 0.500 0.500
5 Fe 0.234 0.766 0.000
6 H 0.000 0.500 0.000
7 H 0.000 0.000 0.000
8 Ti 0.282 0.282 0.000

Output
- spin magnetization (μB per atom) = 0.397
- SG = Cmmm, No. 65


<x>
This record from the Materials Project database describes a geometry-optimized TiFeH2 structure. The functional is PBE.

abc: 4.666 4.666 2.784
angles: 90.00 90.00 97.66
Element x y z (fractional)
1 Fe 0.295 0.295 0.000
2 H 0.500 0.000 0.000
3 Ti 0.783 0.217 0.500
4 H 0.500 0.500 0.500
5 H 0.000 0.500 0.000
6 Fe 0.705 0.705 0.000
7 Ti 0.217 0.783 0.500
8 H 0.000 0.000 0.000

Output
- spin magnetization (μB per atom) = 0.112
- SG = Cmmm, No. 65


<y>
This record from the Materials Project database describes a geometry-optimized TiFeH2 structure. The functional is PBE.

abc: 2.821 4.575 4.759
angles: 90.00 90.00 90.00
Element x y z (fractional)
1 H 0.000 0.553 0.521
2 H 0.500 0.950 0.932
3 Fe 0.000 0.290 0.187
4 H 0.500 0.450 0.068
5 Ti 0.500 0.290 0.700
6 H 0.000 0.053 0.479
7 Ti 0.500 0.790 0.300
8 Fe 0.000 0.790 0.813

Output
- spin magnetization (μB per atom) = 0.000
- SG = Pmc2_1, No. 26


Ranked by calculated energy, most stable first: <x>, <y>, <w>.


<w>
This record from the Materials Project database describes a geometry-optimized HfMg6Fe structure. The functional is PBE.

abc: 4.767 6.069 11.078
angles: 90.00 90.00 90.00
Element x y z (fractional)
1 Mg 0.000 0.244 0.580
2 Fe 0.000 0.500 0.302
3 Mg 0.000 0.500 0.827
4 Mg 0.500 0.242 0.925
5 Mg 0.000 0.000 0.327
6 Mg 0.500 0.000 0.167
7 Mg 0.500 0.742 0.425
8 Mg 0.500 0.758 0.925
9 Hf 0.500 0.000 0.694
10 Mg 0.000 0.256 0.080
11 Mg 0.500 0.500 0.667
12 Fe 0.000 0.000 0.802
13 Mg 0.000 0.756 0.580
14 Mg 0.000 0.744 0.080
15 Mg 0.500 0.258 0.425
16 Hf 0.500 0.500 0.194

Output
- spin magnetization (μB per atom) = 0.207


<x>
This record from the Materials Project database describes a geometry-optimized HfMg6Fe structure. The functional is PBE.

abc: 4.979 5.899 11.212
angles: 90.00 90.00 90.00
Element x y z (fractional)
1 Mg 0.500 0.252 0.425
2 Mg 0.000 0.000 0.830
3 Mg 0.500 0.248 0.925
4 Mg 0.000 0.755 0.084
5 Mg 0.500 0.748 0.425
6 Mg 0.000 0.000 0.311
7 Mg 0.000 0.500 0.330
8 Mg 0.000 0.745 0.584
9 Mg 0.500 0.752 0.925
10 Hf 0.500 0.000 0.677
11 Mg 0.000 0.255 0.584
12 Fe 0.500 0.500 0.664
13 Fe 0.500 0.000 0.164
14 Hf 0.500 0.500 0.177
15 Mg 0.000 0.500 0.811
16 Mg 0.000 0.245 0.084

Output
- spin magnetization (μB per atom) = 0.219


Ranked by calculated energy, most stable first: <w>, <x>.


<w>
This record from the Materials Project database describes a geometry-optimized Ho2FeSi4 structure. The functional is PBE.

abc: 3.978 4.010 8.248
angles: 75.93 90.00 90.00
Element x y z (fractional)
1 Si 0.750 0.043 0.913
2 Ho 0.250 0.606 0.788
3 Si 0.750 0.193 0.614
4 Si 0.250 0.961 0.078
5 Fe 0.250 0.250 0.500
6 Ho 0.750 0.389 0.222
7 Si 0.250 0.808 0.384

Output
- spin magnetization (μB per atom) = 0.001
- SG = Amm2, No. 38


<x>
This record from the Materials Project database describes a geometry-optimized Ho2FeSi4 structure. The functional is PBE.

abc: 3.974 4.084 7.793
angles: 74.81 90.00 90.00
Element x y z (fractional)
1 Ho 0.250 0.897 0.206
2 Si 0.750 0.756 0.488
3 Si 0.750 0.438 0.123
4 Si 0.250 0.256 0.488
5 Si 0.250 0.544 0.913
6 Ho 0.750 0.100 0.801
7 Fe 0.250 0.694 0.613

Output
- spin magnetization (μB per atom) = 0.021
- SG = Amm2, No. 38


Ranked by calculated energy, most stable first: <x>, <w>.


<w>
This record from the Materials Project database describes a geometry-optimized KMg14Fe structure. The functional is PBE.

abc: 6.458 6.483 10.340
angles: 90.00 90.00 120.13
Element x y z (fractional)
1 Mg 0.333 0.180 0.379
2 Mg 0.333 0.654 0.379
3 Mg 0.842 0.171 0.887
4 Mg 0.165 0.333 0.625
5 Mg 0.666 0.330 0.625
6 Mg 0.333 0.654 0.871
7 Mg 0.823 0.662 0.389
8 Mg 0.823 0.662 0.861
9 Mg 0.333 0.180 0.871
10 Mg 0.666 0.836 0.625
11 Mg 0.169 0.834 0.625
12 Mg 0.842 0.171 0.363
13 Mg 0.662 0.338 0.125
14 Mg 0.662 0.824 0.125
15 K 0.165 0.833 0.125
16 Fe 0.182 0.341 0.125

Output
- spin magnetization (μB per atom) = 0.169
- SG = Amm2, No. 38


<x>
This record from the Materials Project database describes a geometry-optimized KMg14Fe structure. The functional is PBE.

abc: 6.452 6.452 10.199
angles: 90.00 90.00 120.00
Element x y z (fractional)
1 Mg 0.674 0.347 0.125
2 Mg 0.674 0.826 0.125
3 K 0.167 0.333 0.625
4 Fe 0.167 0.333 0.125
5 Mg 0.328 0.172 0.346
6 Mg 0.153 0.826 0.125
7 Mg 0.328 0.172 0.904
8 Mg 0.833 0.667 0.384
9 Mg 0.179 0.839 0.625
10 Mg 0.844 0.172 0.346
11 Mg 0.661 0.321 0.625
12 Mg 0.661 0.839 0.625
13 Mg 0.328 0.656 0.904
14 Mg 0.844 0.172 0.904
15 Mg 0.328 0.656 0.346
16 Mg 0.833 0.667 0.866

Output
- spin magnetization (μB per atom) = 0.000
- SG = P-6m2, No. 187


Ranked by calculated energy, most stable first: <w>, <x>.


<w>
This record from the Materials Project database describes a geometry-optimized La3Fe2S7 structure. The functional is PBE.

abc: 10.376 10.376 5.920
angles: 90.00 90.00 120.00
Element x y z (fractional)
1 S 0.916 0.161 0.239
2 S 0.161 0.245 0.739
3 La 0.376 0.131 0.751
4 S 0.515 0.411 0.482
5 S 0.411 0.896 0.982
6 La 0.869 0.244 0.751
7 La 0.756 0.624 0.751
8 S 0.667 0.333 0.962
9 Fe 0.667 0.333 0.337
10 S 0.084 0.839 0.739
11 La 0.244 0.376 0.251
12 S 0.839 0.755 0.239
13 Fe 0.333 0.667 0.837
14 La 0.131 0.756 0.251
15 S 0.485 0.589 0.982
16 S 0.896 0.485 0.482
17 S 0.104 0.515 0.982
18 S 0.589 0.104 0.482
19 S 0.245 0.084 0.239
20 Fe 0.000 0.000 0.220
21 Fe 0.000 0.000 0.720
22 La 0.624 0.869 0.251
23 S 0.333 0.667 0.462
24 S 0.755 0.916 0.739

Output
- spin magnetization (μB per atom) = 0.750
- SG = P6_3, No. 173


<x>
This record from the Materials Project database describes a geometry-optimized La3Fe2S7 structure. The functional is PBE.

abc: 10.164 10.164 5.938
angles: 90.00 90.00 120.00
Element x y z (fractional)
1 S 0.132 0.213 0.260
2 La 0.142 0.768 0.725
3 S 0.787 0.919 0.260
4 S 0.904 0.484 0.505
5 Fe 0.000 0.000 0.506
6 La 0.374 0.142 0.225
7 S 0.484 0.581 0.005
8 La 0.232 0.374 0.725
9 S 0.096 0.516 0.005
10 S 0.868 0.787 0.760
11 La 0.768 0.626 0.225
12 Fe 0.667 0.333 0.639
13 S 0.419 0.904 0.005
14 S 0.581 0.096 0.505
15 Fe 0.000 0.000 0.006
16 Fe 0.333 0.667 0.139
17 S 0.516 0.419 0.505
18 S 0.213 0.081 0.760
19 S 0.667 0.333 0.014
20 La 0.626 0.858 0.725
21 La 0.858 0.232 0.225
22 S 0.081 0.868 0.260
23 S 0.919 0.132 0.760
24 S 0.333 0.667 0.514

Output
- spin magnetization (μB per atom) = 0.580
- SG = P6_3, No. 173


Ranked by calculated energy, most stable first: <x>, <w>.


<w>
This record from the Materials Project database describes a geometry-optimized LiMg14Fe structure. The functional is PBE.

abc: 6.304 6.360 9.912
angles: 90.00 90.00 120.30
Element x y z (fractional)
1 Mg 0.842 0.171 0.365
2 Mg 0.323 0.656 0.360
3 Mg 0.674 0.835 0.125
4 Mg 0.323 0.167 0.360
5 Mg 0.171 0.836 0.625
6 Mg 0.169 0.335 0.625
7 Mg 0.674 0.339 0.125
8 Mg 0.323 0.167 0.890
9 Mg 0.834 0.667 0.376
10 Mg 0.323 0.656 0.890
11 Mg 0.666 0.835 0.625
12 Mg 0.834 0.667 0.874
13 Fe 0.167 0.334 0.125
14 Mg 0.666 0.331 0.625
15 Li 0.166 0.833 0.125
16 Mg 0.842 0.171 0.885

Output
- spin magnetization (μB per atom) = 0.164
- SG = Amm2, No. 38


<x>
This record from the Materials Project database describes a geometry-optimized LiMg14Fe structure. The functional is PBE.

abc: 6.291 6.291 9.801
angles: 90.00 90.00 120.00
Element x y z (fractional)
1 Mg 0.665 0.330 0.625
2 Li 0.167 0.333 0.625
3 Mg 0.833 0.667 0.872
4 Mg 0.327 0.173 0.884
5 Mg 0.665 0.835 0.625
6 Mg 0.667 0.833 0.125
7 Mg 0.847 0.173 0.884
8 Mg 0.327 0.653 0.366
9 Mg 0.165 0.833 0.125
10 Mg 0.847 0.173 0.366
11 Mg 0.833 0.667 0.378
12 Mg 0.327 0.653 0.884
13 Mg 0.327 0.173 0.366
14 Fe 0.167 0.333 0.125
15 Mg 0.170 0.835 0.625
16 Mg 0.667 0.335 0.125

Output
- spin magnetization (μB per atom) = 0.000
- SG = P-6m2, No. 187


Ranked by calculated energy, most stable first: <w>, <x>.